{
  "formula": "Na4Bi2C4SO16",
  "functional": "PBE-GGA",
  "state": "optimized geometry",
  "lattice": [[0.0000, 7.2749, 7.7254], [7.1468, 0.0000, 7.7254], [7.1468, 7.2749, 0.0000]],
  "species": ["Na", "Na", "Na", "Na", "Na", "Na", "Na", "Na", "Bi", "Bi", "Bi", "Bi", "C", "C", "C", "C", "C", "C", "C", "C", "S", "S", "O", "O", "O", "O", "O", "O", "O", "O", "O", "O", "O", "O", "O", "O", "O", "O", "O", "O", "O", "O", "O", "O", "O", "O", "O", "O", "O", "O", "O", "O", "O", "O"],
  "frac_coords": [[0.0752, 0.6748, 0.0752], [0.0767, 0.6733, 0.6733], [0.3252, 0.9248, 0.3252], [0.3267, 0.9233, 0.9233], [0.6733, 0.0767, 0.0767], [0.6748, 0.0752, 0.6748], [0.9233, 0.3267, 0.3267], [0.9248, 0.3252, 0.9248], [0.0000, 0.5000, 0.5000], [0.5000, 0.0000, 0.5000], [0.5000, 0.5000, 0.0000], [0.5000, 0.5000, 0.5000], [0.2686, 0.6621, 0.2871], [0.2822, 0.2871, 0.6621], [0.2871, 0.2822, 0.2686], [0.3379, 0.7314, 0.7178], [0.6621, 0.2686, 0.2822], [0.7129, 0.7178, 0.7314], [0.7178, 0.7129, 0.3379], [0.7314, 0.3379, 0.7129], [0.1250, 0.1250, 0.1250], [0.8750, 0.8750, 0.8750], [0.0573, 0.3011, 0.0717], [0.0699, 0.0717, 0.3011], [0.0717, 0.0699, 0.0573], [0.1482, 0.6496, 0.4099], [0.1515, 0.2970, 0.6697], [0.1521, 0.4029, 0.2772], [0.2772, 0.6678, 0.1521], [0.2923, 0.4099, 0.6496], [0.2970, 0.1515, 0.3819], [0.3011, 0.0573, 0.0699], [0.3303, 0.6181, 0.8485], [0.3322, 0.7228, 0.5971], [0.3504, 0.8518, 0.7077], [0.3819, 0.6697, 0.2970], [0.4029, 0.1521, 0.6678], [0.4099, 0.2923, 0.1482], [0.5901, 0.7077, 0.8518], [0.5971, 0.8479, 0.3322], [0.6181, 0.3303, 0.7030], [0.6496, 0.1482, 0.2923], [0.6678, 0.2772, 0.4029], [0.6697, 0.3819, 0.1515], [0.6989, 0.9427, 0.9301], [0.7030, 0.8485, 0.6181], [0.7077, 0.5901, 0.3504], [0.7228, 0.3322, 0.8479], [0.8479, 0.5971, 0.7228], [0.8485, 0.7030, 0.3303], [0.8518, 0.3504, 0.5901], [0.9283, 0.9301, 0.9427], [0.9301, 0.9283, 0.6989], [0.9427, 0.6989, 0.9283]],
  "delta_e_f_mev_per_atom": -1932,
  "e_tot_ev_per_fu": -174.466,
  "de_polymorph_mev_per_atom": 0
}

{
  "formula": "PuTlO3",
  "functional": "PBE-GGA",
  "state": "optimized geometry",
  "lattice": [[6.1317, 0.0000, 0.0000], [0.0000, 8.6573, 0.0000], [0.0000, 0.0000, 6.1310]],
  "species": ["Pu", "Pu", "Pu", "Pu", "Tl", "Tl", "Tl", "Tl", "O", "O", "O", "O", "O", "O", "O", "O", "O", "O", "O", "O"],
  "frac_coords": [[0.0000, 0.0000, 0.0000], [0.0000, 0.5000, 0.0000], [0.5000, 0.0000, 0.5000], [0.5000, 0.5000, 0.5000], [0.9998, 0.2500, 0.4997], [0.0002, 0.7500, 0.5003], [0.4998, 0.2500, 0.0003], [0.5002, 0.7500, 0.9997], [0.9997, 0.2500, 0.0022], [0.0003, 0.7500, 0.9978], [0.2354, 0.0011, 0.7637], [0.2354, 0.4989, 0.7637], [0.2646, 0.5011, 0.2637], [0.2646, 0.9989, 0.2637], [0.4997, 0.2500, 0.4978], [0.5003, 0.7500, 0.5022], [0.7354, 0.0011, 0.7363], [0.7354, 0.4989, 0.7363], [0.7646, 0.5011, 0.2363], [0.7646, 0.9989, 0.2363]],
  "delta_e_f_mev_per_atom": -2615,
  "e_tot_ev_per_fu": -42.486
}